No. 1
Compound: Pm2ZnRu
Source: the Materials Project
Functional: r²SCAN
Structure: optimized geometry

```
Pm2ZnRu
1.0
7.094 0.000 0.000
0.000 7.094 0.000
0.000 0.000 7.094
Pm Zn Ru
8 4 4
direct
0.250 0.250 0.250 Pm
0.250 0.250 0.750 Pm
0.250 0.750 0.250 Pm
0.250 0.750 0.750 Pm
0.750 0.250 0.250 Pm
0.750 0.250 0.750 Pm
0.750 0.750 0.250 Pm
0.750 0.750 0.750 Pm
0.000 0.000 0.000 Zn
0.000 0.500 0.500 Zn
0.500 0.000 0.500 Zn
0.500 0.500 0.000 Zn
0.000 0.000 0.500 Ru
0.000 0.500 0.000 Ru
0.500 0.000 0.000 Ru
0.500 0.500 0.500 Ru
```

No. 2
Compound: TmHO2
Source: the Materials Project
Functional: r²SCAN
Structure: optimized geometry

```
TmHO2
1.0
10.676 0.000 0.000
0.000 3.432 0.000
0.000 0.000 4.952
Tm H O
4 4 8
direct
0.144 0.250 0.097 Tm
0.356 0.750 0.597 Tm
0.644 0.250 0.403 Tm
0.856 0.750 0.903 Tm
0.099 0.750 0.635 H
0.401 0.250 0.135 H
0.599 0.750 0.865 H
0.901 0.250 0.365 H
0.066 0.750 0.822 O
0.190 0.750 0.344 O
0.310 0.250 0.844 O
0.434 0.250 0.322 O
0.566 0.750 0.678 O
0.690 0.750 0.156 O
0.810 0.250 0.656 O
0.934 0.250 0.178 O
```

No. 3
Compound: CeSnRh
Source: the Materials Project
Functional: r²SCAN
Structure: optimized geometry

```
CeSnRh
1.0
7.464 0.000 0.000
-3.732 6.464 0.000
0.000 0.000 4.085
Ce Sn Rh
3 3 3
direct
0.000 0.414 0.000 Ce
0.414 0.000 0.000 Ce
0.586 0.586 0.000 Ce
0.000 0.749 0.500 Sn
0.251 0.251 0.500 Sn
0.749 0.000 0.500 Sn
0.000 0.000 0.000 Rh
0.333 0.667 0.500 Rh
0.667 0.333 0.500 Rh
```

No. 4
Compound: Tl5Se3
Source: the Materials Project
Functional: r²SCAN
Structure: optimized geometry

```
Tl5Se3
1.0
8.600 0.000 0.000
0.000 8.600 0.000
0.000 0.000 12.611
Tl Se
20 12
direct
0.077 0.626 0.097 Tl
0.077 0.874 0.597 Tl
0.126 0.577 0.403 Tl
0.126 0.923 0.903 Tl
0.250 0.250 0.214 Tl
0.250 0.250 0.714 Tl
0.374 0.577 0.903 Tl
0.374 0.923 0.403 Tl
0.423 0.626 0.597 Tl
0.423 0.874 0.097 Tl
0.577 0.126 0.903 Tl
0.577 0.374 0.403 Tl
0.626 0.077 0.597 Tl
0.626 0.423 0.097 Tl
0.750 0.750 0.286 Tl
0.750 0.750 0.786 Tl
0.874 0.077 0.097 Tl
0.874 0.423 0.597 Tl
0.923 0.126 0.403 Tl
0.923 0.374 0.903 Tl
0.088 0.588 0.750 Se
0.088 0.912 0.250 Se
0.250 0.250 0.478 Se
0.250 0.250 0.978 Se
0.412 0.588 0.250 Se
0.412 0.912 0.750 Se
0.588 0.088 0.250 Se
0.588 0.412 0.750 Se
0.750 0.750 0.022 Se
0.750 0.750 0.522 Se
0.912 0.088 0.750 Se
0.912 0.412 0.250 Se
```

No. 5
Compound: TmZnGa
Source: the Materials Project
Functional: r²SCAN
Structure: optimized geometry

```
TmZnGa
1.0
4.330 0.000 0.000
-2.165 3.750 0.000
0.000 0.000 7.073
Tm Zn Ga
2 2 2
direct
0.000 0.000 0.000 Tm
0.000 0.000 0.500 Tm
0.333 0.667 0.250 Zn
0.667 0.333 0.750 Zn
0.333 0.667 0.750 Ga
0.667 0.333 0.250 Ga
```

No. 6
Compound: Na4MnO4
Source: the Materials Project
Functional: r²SCAN
Structure: optimized geometry

```
Na4MnO4
1.0
5.549 0.000 0.000
2.177 5.353 0.000
2.748 -0.829 7.965
Na Mn O
8 2 8
direct
0.000 0.000 0.000 Na
0.038 0.484 0.148 Na
0.216 0.019 0.592 Na
0.357 0.481 0.361 Na
0.536 0.017 0.804 Na
0.576 0.498 0.951 Na
0.737 0.526 0.541 Na
0.837 0.976 0.409 Na
0.183 0.533 0.730 Mn
0.391 0.967 0.222 Mn
0.043 0.357 0.886 O
0.110 0.221 0.359 O
0.235 0.771 0.175 O
0.340 0.729 0.777 O
0.464 0.279 0.593 O
0.533 0.143 0.066 O
0.594 0.759 0.332 O
0.979 0.742 0.620 O
```

No. 7
Compound: Ti3In3Rh2
Source: the Materials Project
Functional: r²SCAN
Structure: optimized geometry

```
Ti3In3Rh2
1.0
7.281 0.000 0.000
-3.641 6.306 0.000
0.000 0.000 3.074
Ti In Rh
3 3 2
direct
0.000 0.419 0.000 Ti
0.419 0.000 0.000 Ti
0.581 0.581 0.000 Ti
0.000 0.763 0.500 In
0.237 0.237 0.500 In
0.763 0.000 0.500 In
0.333 0.667 0.500 Rh
0.667 0.333 0.500 Rh
```

No. 8
Compound: BaPt2S3
Source: the Materials Project
Functional: r²SCAN
Structure: optimized geometry

```
BaPt2S3
1.0
11.146 0.000 0.000
0.000 11.146 0.000
0.000 0.000 13.251
Ba Pt S
12 24 36
direct
0.102 0.322 0.251 Ba
0.106 0.894 0.250 Ba
0.178 0.602 0.501 Ba
0.322 0.102 0.749 Ba
0.394 0.394 0.000 Ba
0.398 0.822 0.999 Ba
0.602 0.178 0.499 Ba
0.606 0.606 0.500 Ba
0.678 0.898 0.249 Ba
0.822 0.398 0.001 Ba
0.894 0.106 0.750 Ba
0.898 0.678 0.751 Ba
0.040 0.634 0.133 Pt
0.111 0.111 0.500 Pt
0.114 0.114 0.000 Pt
0.134 0.460 0.883 Pt
0.142 0.769 0.882 Pt
0.231 0.858 0.618 Pt
0.269 0.358 0.632 Pt
0.358 0.269 0.368 Pt
0.366 0.960 0.367 Pt
0.386 0.614 0.250 Pt
0.389 0.611 0.750 Pt
0.460 0.134 0.117 Pt
0.540 0.866 0.617 Pt
0.611 0.389 0.250 Pt
0.614 0.386 0.750 Pt
0.634 0.040 0.867 Pt
0.642 0.731 0.868 Pt
0.731 0.642 0.132 Pt
0.769 0.142 0.118 Pt
0.858 0.231 0.382 Pt
0.866 0.540 0.383 Pt
0.886 0.886 0.500 Pt
0.889 0.889 0.000 Pt
0.960 0.366 0.633 Pt
0.095 0.902 0.489 S
0.098 0.902 0.750 S
0.098 0.905 0.011 S
0.105 0.324 0.017 S
0.112 0.320 0.519 S
0.114 0.322 0.751 S
0.176 0.605 0.267 S
0.178 0.614 0.001 S
0.180 0.612 0.769 S
0.320 0.112 0.481 S
0.322 0.114 0.249 S
0.324 0.105 0.983 S
0.386 0.822 0.499 S
0.388 0.820 0.731 S
0.395 0.824 0.233 S
0.402 0.402 0.500 S
0.402 0.405 0.239 S
0.405 0.402 0.761 S
0.595 0.598 0.261 S
0.598 0.595 0.739 S
0.598 0.598 0.000 S
0.605 0.176 0.733 S
0.612 0.180 0.231 S
0.614 0.178 0.999 S
0.676 0.895 0.483 S
0.678 0.886 0.749 S
0.680 0.888 0.981 S
0.820 0.388 0.269 S
0.822 0.386 0.501 S
0.824 0.395 0.767 S
0.886 0.678 0.251 S
0.888 0.680 0.019 S
0.895 0.676 0.517 S
0.902 0.095 0.511 S
0.902 0.098 0.250 S
0.905 0.098 0.989 S
```

No. 9
Compound: Co3Ge2
Source: the Materials Project
Functional: r²SCAN
Structure: optimized geometry

```
Co3Ge2
1.0
3.902 0.000 0.000
-1.951 3.380 0.000
0.000 0.000 4.840
Co Ge
3 2
direct
0.000 0.000 0.000 Co
0.667 0.333 0.258 Co
0.667 0.333 0.742 Co
0.000 0.000 0.500 Ge
0.333 0.667 0.000 Ge
```

No. 10
Compound: DySi2Au2
Source: the Materials Project
Functional: r²SCAN
Structure: optimized geometry

```
DySi2Au2
1.0
4.238 0.000 0.000
0.000 4.238 0.000
0.000 0.000 10.170
Dy Si Au
2 4 4
direct
0.000 0.000 0.000 Dy
0.500 0.500 0.500 Dy
0.000 0.000 0.388 Si
0.000 0.000 0.612 Si
0.500 0.500 0.112 Si
0.500 0.500 0.888 Si
0.000 0.500 0.250 Au
0.000 0.500 0.750 Au
0.500 0.000 0.250 Au
0.500 0.000 0.750 Au
```

No. 11
Compound: NbNiAs2
Source: the Materials Project
Functional: r²SCAN
Structure: optimized geometry

```
NbNiAs2
1.0
5.614 0.000 0.000
0.000 3.506 0.000
0.000 0.000 12.617
Nb Ni As
4 4 8
direct
0.009 0.250 0.171 Nb
0.491 0.750 0.671 Nb
0.509 0.250 0.329 Nb
0.991 0.750 0.829 Nb
0.020 0.250 0.412 Ni
0.480 0.750 0.912 Ni
0.520 0.250 0.088 Ni
0.980 0.750 0.588 Ni
0.145 0.250 0.690 As
0.200 0.250 0.963 As
0.300 0.750 0.463 As
0.355 0.750 0.190 As
0.645 0.250 0.810 As
0.700 0.250 0.537 As
0.800 0.750 0.037 As
0.855 0.750 0.310 As
```

No. 12
Compound: Na2Mn3Cl8
Source: the Materials Project
Functional: r²SCAN
Structure: optimized geometry

```
Na2Mn3Cl8
1.0
6.417 -3.706 0.000
6.417 3.706 0.000
-4.285 0.000 6.532
Na Mn Cl
2 3 8
direct
0.159 0.159 0.476 Na
0.841 0.841 0.524 Na
0.000 0.500 0.000 Mn
0.500 0.000 0.000 Mn
0.500 0.500 0.000 Mn
0.101 0.101 0.781 Cl
0.102 0.578 0.781 Cl
0.405 0.405 0.215 Cl
0.422 0.898 0.219 Cl
0.578 0.102 0.781 Cl
0.595 0.595 0.785 Cl
0.898 0.422 0.219 Cl
0.899 0.899 0.219 Cl
```

No. 13
Compound: NdSbPd
Source: the Materials Project
Functional: r²SCAN
Structure: optimized geometry

```
NdSbPd
1.0
4.585 0.000 0.000
-2.293 3.971 0.000
0.000 0.000 8.052
Nd Sb Pd
2 2 2
direct
0.000 0.000 0.000 Nd
0.000 0.000 0.500 Nd
0.333 0.667 0.250 Sb
0.667 0.333 0.750 Sb
0.333 0.667 0.750 Pd
0.667 0.333 0.250 Pd
```

No. 14
Compound: Tb3Nd
Source: the Materials Project
Functional: r²SCAN
Structure: optimized geometry

```
Tb3Nd
1.0
7.326 0.000 0.000
-3.663 6.345 0.000
0.000 0.000 5.849
Tb Nd
6 2
direct
0.164 0.329 0.250 Tb
0.164 0.836 0.250 Tb
0.329 0.164 0.750 Tb
0.671 0.836 0.250 Tb
0.836 0.164 0.750 Tb
0.836 0.671 0.750 Tb
0.333 0.667 0.750 Nd
0.667 0.333 0.250 Nd
```

No. 15
Compound: CdTe
Source: the Materials Project
Functional: r²SCAN
Structure: optimized geometry

```
CdTe
1.0
4.633 0.000 0.000
-2.317 4.013 0.000
0.000 0.000 7.602
Cd Te
2 2
direct
0.333 0.667 0.000 Cd
0.667 0.333 0.500 Cd
0.333 0.667 0.374 Te
0.667 0.333 0.874 Te
```

No. 16
Compound: Mg3Bi
Source: the Materials Project
Functional: r²SCAN
Structure: optimized geometry

```
Mg3Bi
1.0
6.381 0.000 0.000
-3.190 5.526 0.000
0.000 0.000 5.488
Mg Bi
6 2
direct
0.163 0.326 0.250 Mg
0.163 0.837 0.250 Mg
0.326 0.163 0.750 Mg
0.674 0.837 0.250 Mg
0.837 0.163 0.750 Mg
0.837 0.674 0.750 Mg
0.333 0.667 0.750 Bi
0.667 0.333 0.250 Bi
```

No. 17
Compound: Sr2Zn3Cd
Source: the Materials Project
Functional: r²SCAN
Structure: optimized geometry

```
Sr2Zn3Cd
1.0
11.088 0.000 0.000
0.000 4.844 0.000
-5.541 0.000 5.548
Sr Zn Cd
4 6 2
direct
0.000 0.000 0.000 Sr
0.002 0.500 0.607 Sr
0.500 0.500 0.000 Sr
0.502 0.000 0.607 Sr
0.185 0.500 0.390 Zn
0.311 0.500 0.202 Zn
0.327 0.000 0.055 Zn
0.685 0.000 0.390 Zn
0.811 0.000 0.202 Zn
0.827 0.500 0.055 Zn
0.186 0.000 0.577 Cd
0.686 0.500 0.577 Cd
```

No. 18
Compound: LaGe4Rh6
Source: the Materials Project
Functional: r²SCAN
Structure: optimized geometry

```
LaGe4Rh6
1.0
7.178 0.000 0.000
-3.589 6.216 0.000
0.000 0.000 3.887
La Ge Rh
1 4 6
direct
0.000 0.000 0.000 La
0.200 0.400 0.500 Ge
0.200 0.800 0.500 Ge
0.600 0.800 0.500 Ge
0.667 0.333 0.000 Ge
0.066 0.533 0.000 Rh
0.403 0.201 0.500 Rh
0.467 0.533 0.000 Rh
0.467 0.934 0.000 Rh
0.799 0.201 0.500 Rh
0.799 0.597 0.500 Rh
```

No. 19
Compound: Rb2U2O7
Source: the Materials Project
Functional: r²SCAN
Structure: optimized geometry

```
Rb2U2O7
1.0
6.927 0.000 0.000
1.179 7.334 0.000
0.043 2.184 7.693
Rb U O
4 4 14
direct
0.237 0.489 0.382 Rb
0.260 0.487 0.874 Rb
0.740 0.513 0.126 Rb
0.763 0.511 0.618 Rb
0.000 0.000 0.000 U
0.000 0.000 0.500 U
0.468 0.994 0.254 U
0.532 0.006 0.746 U
0.053 0.733 0.055 O
0.057 0.734 0.579 O
0.132 0.985 0.254 O
0.310 0.017 0.943 O
0.311 0.019 0.541 O
0.434 0.257 0.189 O
0.492 0.269 0.679 O
0.508 0.731 0.321 O
0.566 0.743 0.811 O
0.689 0.981 0.459 O
0.690 0.983 0.057 O
0.868 0.015 0.746 O
0.943 0.266 0.421 O
0.947 0.267 0.945 O
```

DFT formation energy values, unit meV/atom, following the record order: -291 -2928 -928 -414 -632 -1803 -549 -1142 0 -598 -532 -1725 -1188 5 -558 -64 -252 -792 -3089.
Electronic total energy values, unit eV per atom, following the record order: -23.65 -15.56 -27.50 -39.02 -19.12 -7.67 -19.90 -26.74 -13.49 -30.74 -17.07 -9.45 -27.22 -30.77 -23.32 -17.82 -13.11 -21.71 -23.96.